PrZn3 r²SCAN optimized geometry; ρ = 7.1 g/cm3; size of the total moment = 0.00 μB/f.u.; crystal system = orthorhombic; formation energy = -0.357 eV/atom; E_tot = -14.3911 eV per atom
1.0
6.7420 0.0000 0.0000
0.0000 4.5278 0.0000
0.0000 0.0000 10.2698
Pr Zn
4 12
direct
0.2194 0.2500 0.1545
0.2806 0.7500 0.6545
0.7194 0.2500 0.3455
0.7806 0.7500 0.8455
0.0347 0.7500 0.3910
0.0915 0.2500 0.8525
0.2269 0.7500 0.9528
0.2731 0.2500 0.4528
0.4085 0.7500 0.3525
0.4653 0.2500 0.8910
0.5347 0.7500 0.1090
0.5915 0.2500 0.6475
0.7269 0.7500 0.5472
0.7731 0.2500 0.0472
0.9085 0.7500 0.1475
0.9653 0.2500 0.6090